Entry from the Materials Project database: Nd6Ni20P13 after structural relaxation (PBE).

Values from the calculation:
Formation energy from the elements   -0.870 eV per atom
Calculated volume   543.3 Å³/cell

a b c (Å): 12.7945 12.7945 3.8324
angles (deg): 90.00 90.00 120.00
With the nearest neighbours (Å) after each atom.
Space group P-6 (No. 174)
One atom of each set of equivalent atoms:
Nd1 0.0520 0.8540 0.0000 [3 per cell]  6 P 2.94-3.00, 10 Ni 2.97-3.17
Nd2 0.5198 0.1344 0.5000 [3 per cell]  6 P 2.90-2.99, 9 Ni 2.98-3.17
Ni1 0.0000 0.0000 0.5000 [1 per cell]  3 P 2.30
Ni2 0.0161 0.5903 0.0000 [3 per cell]  4 P 2.30-2.36, 1 Ni 2.48
Ni3 0.0891 0.3529 0.5000 [3 per cell]  4 P 2.32-2.36
Ni4 0.1806 0.5864 0.5000 [3 per cell]  1 P 2.26
Ni5 0.2298 0.7560 0.0000 [3 per cell]  4 P 2.14-2.39
Ni6 0.3109 0.0821 0.0000 [3 per cell]  4 P 2.30-2.32
Ni7 0.3564 0.2561 0.5000 [3 per cell]  4 P 2.29-2.34
Ni8 0.6667 0.3333 0.0000 [1 per cell]  3 P 2.29
P1 0.0542 0.4324 0.0000 [3 per cell]  5 Ni 2.21-2.32
P2 0.1025 0.7103 0.5000 [3 per cell]  7 Ni 2.26-2.39
P3 0.2005 0.0543 0.5000 [3 per cell]  5 Ni 2.30-2.35
P4 0.3333 0.6667 0.0000 [1 per cell]  3 Ni 2.14
P5 0.4671 0.2808 0.0000 [3 per cell]  5 Ni 2.29-2.32